Material: PbO
Method: DFT, PBE
State: optimized geometry

Unit cell a=5.406 b=5.746 c=45.931 alpha=90.00 beta=90.00 gamma=90.00
Fractional coordinates of all 64 atoms:
1 Pb 0.220 0.250 0.000
2 Pb 0.220 0.250 0.500
3 Pb 0.221 0.229 0.250
4 Pb 0.221 0.233 0.625
5 Pb 0.221 0.233 0.875
6 Pb 0.221 0.267 0.125
7 Pb 0.221 0.267 0.375
8 Pb 0.221 0.271 0.750
9 Pb 0.221 0.729 0.562
10 Pb 0.221 0.729 0.938
11 Pb 0.221 0.745 0.187
12 Pb 0.221 0.745 0.313
13 Pb 0.221 0.755 0.687
14 Pb 0.221 0.755 0.813
15 Pb 0.221 0.771 0.062
16 Pb 0.221 0.771 0.438
17 Pb 0.779 0.229 0.562
18 Pb 0.779 0.229 0.938
19 Pb 0.779 0.245 0.187
20 Pb 0.779 0.245 0.313
21 Pb 0.779 0.255 0.687
22 Pb 0.779 0.255 0.813
23 Pb 0.779 0.271 0.062
24 Pb 0.779 0.271 0.438
25 Pb 0.779 0.729 0.250
26 Pb 0.779 0.733 0.625
27 Pb 0.779 0.733 0.875
28 Pb 0.779 0.767 0.125
29 Pb 0.779 0.767 0.375
30 Pb 0.779 0.771 0.750
31 Pb 0.780 0.750 0.000
32 Pb 0.780 0.750 0.500
33 O 0.003 0.524 0.094
34 O 0.003 0.524 0.406
35 O 0.003 0.976 0.594
36 O 0.003 0.976 0.906
37 O 0.008 0.018 0.719
38 O 0.008 0.018 0.781
39 O 0.008 0.482 0.219
40 O 0.008 0.482 0.281
41 O 0.011 0.008 0.156
42 O 0.011 0.008 0.344
43 O 0.011 0.492 0.656
44 O 0.011 0.492 0.844
45 O 0.011 0.514 0.031
46 O 0.011 0.514 0.469
47 O 0.011 0.986 0.531
48 O 0.011 0.986 0.969
49 O 0.989 0.014 0.031
50 O 0.989 0.014 0.469
51 O 0.989 0.486 0.531
52 O 0.989 0.486 0.969
53 O 0.989 0.508 0.156
54 O 0.989 0.508 0.344
55 O 0.989 0.992 0.656
56 O 0.989 0.992 0.844
57 O 0.992 0.518 0.719
58 O 0.992 0.518 0.781
59 O 0.992 0.982 0.219
60 O 0.992 0.982 0.281
61 O 0.997 0.024 0.094
62 O 0.997 0.024 0.406
63 O 0.997 0.476 0.594
64 O 0.997 0.476 0.906

## Properties
* calculated volume: 1426.65 Å³/cell
* E_form: -1.469 eV per atom

Material: Re2Cl7O3
Method: DFT, PBE
State: optimized geometry

Unit cell a=6.304 b=11.100 c=17.158 alpha=90.00 beta=106.56 gamma=90.00
Fractional coordinates of all 48 atoms:
1 Re 0.021 0.085 0.191
2 Re 0.021 0.415 0.691
3 Re 0.167 0.161 0.532
4 Re 0.167 0.339 0.032
5 Re 0.833 0.661 0.968
6 Re 0.833 0.839 0.468
7 Re 0.979 0.585 0.309
8 Re 0.979 0.915 0.809
9 Cl 0.105 0.723 0.079
10 Cl 0.105 0.777 0.579
11 Cl 0.170 0.525 0.946
12 Cl 0.170 0.975 0.446
13 Cl 0.203 0.524 0.434
14 Cl 0.203 0.976 0.934
15 Cl 0.243 0.725 0.306
16 Cl 0.243 0.775 0.806
17 Cl 0.274 0.205 0.281
18 Cl 0.274 0.295 0.781
19 Cl 0.316 0.503 0.658
20 Cl 0.316 0.997 0.158
21 Cl 0.368 0.040 0.634
22 Cl 0.368 0.460 0.134
23 Cl 0.632 0.540 0.866
24 Cl 0.632 0.960 0.366
25 Cl 0.684 0.003 0.842
26 Cl 0.684 0.497 0.342
27 Cl 0.726 0.705 0.219
28 Cl 0.726 0.795 0.719
29 Cl 0.757 0.225 0.194
30 Cl 0.757 0.275 0.694
31 Cl 0.797 0.024 0.066
32 Cl 0.797 0.476 0.566
33 Cl 0.830 0.025 0.554
34 Cl 0.830 0.475 0.054
35 Cl 0.895 0.223 0.421
36 Cl 0.895 0.277 0.921
37 O 0.033 0.022 0.748
38 O 0.033 0.478 0.248
39 O 0.101 0.236 0.098
40 O 0.101 0.264 0.598
41 O 0.384 0.223 0.505
42 O 0.384 0.277 0.005
43 O 0.616 0.723 0.995
44 O 0.616 0.777 0.495
45 O 0.899 0.736 0.402
46 O 0.899 0.764 0.902
47 O 0.967 0.522 0.752
48 O 0.967 0.978 0.252

## Properties
* total magnetization: 1.0 μB/f.u.
* calculated volume: 1150.87 Å³/cell
* E_form: -1.064 eV per atom

Material: Mg6CdW
Method: DFT, PBE
State: optimized geometry

Unit cell a=4.948 b=6.173 c=10.655 alpha=90.00 beta=90.00 gamma=90.00
Fractional coordinates of all 16 atoms:
1 W 0.000 0.000 0.838
2 W 0.000 0.500 0.338
3 Mg 0.500 0.500 0.667
4 Mg 0.000 0.248 0.583
5 Mg 0.000 0.752 0.583
6 Mg 0.500 0.736 0.411
7 Mg 0.500 0.264 0.411
8 Mg 0.500 0.764 0.911
9 Mg 0.000 0.252 0.083
10 Mg 0.000 0.000 0.334
11 Mg 0.500 0.000 0.167
12 Mg 0.000 0.500 0.834
13 Mg 0.500 0.236 0.911
14 Mg 0.000 0.748 0.083
15 Cd 0.500 0.500 0.174
16 Cd 0.500 0.000 0.674

## Properties
* total magnetization: 0.0 μB/f.u.
* calculated volume: 325.45 Å³/cell
* E_form: 0.272 eV per atom